Entry 1:
A relaxed structure of LiNb2Te4Cl10O, computed with PBE-GGA.

Values from the calculation:
Energy above the lowest structure with this stoichiometry = 36 meV per atom
Symmetry = No. 2

Cell lengths 7.392, 8.626, 9.593 Å; angles 83.41, 90.95, 74.19 degrees
Positions (direct):
Li 0.500 0.000 0.000
Nb 0.518 0.639 0.637
Nb 0.482 0.361 0.363
Te 0.169 0.912 0.168
Te 0.062 0.206 0.996
Te 0.938 0.794 0.004
Te 0.831 0.088 0.832
Cl 0.447 0.169 0.180
Cl 0.403 0.485 0.817
Cl 0.784 0.190 0.419
Cl 0.166 0.527 0.280
Cl 0.597 0.515 0.183
Cl 0.336 0.207 0.517
Cl 0.834 0.473 0.720
Cl 0.664 0.793 0.483
Cl 0.216 0.810 0.581
Cl 0.553 0.831 0.820
O 0.500 0.500 0.500



Entry 2:
A relaxed structure of Be3ZnO4, computed with PBE-GGA.

Values from the calculation:
Symmetry = No. 121

Cell lengths 4.897, 4.897, 4.897 Å; angles 131.00, 131.00, 71.81 degrees
Positions (direct):
Be 0.000 0.000 0.000
Be 0.750 0.250 0.500
Be 0.250 0.750 0.500
Zn 0.500 0.500 0.000
O 0.082 0.082 0.439
O 0.643 0.643 0.561
O 0.357 0.918 0.000
O 0.918 0.357 0.000



Entry 3:
A relaxed structure of MgAg20Bi4O16, computed with PBE-GGA.

Values from the calculation:
Energy above the lowest structure with this stoichiometry = 28 meV per atom
Symmetry = No. 1

Cell lengths 6.021, 9.018, 13.225 Å; angles 91.28, 89.30, 91.63 degrees
Positions (direct):
Mg 0.267 0.728 0.957
Ag 0.225 0.725 0.163
Ag 0.737 0.778 0.630
Ag 0.930 0.480 0.032
Ag 0.499 0.998 0.497
Ag 0.008 0.151 0.654
Ag 0.610 0.566 0.901
Ag 0.970 0.858 0.343
Ag 0.533 0.371 0.154
Ag 0.526 0.985 0.245
Ag 0.971 0.482 0.260
Ag 0.451 0.021 0.745
Ag 0.058 0.513 0.739
Ag 0.477 0.036 0.997
Ag 0.006 0.499 0.495
Ag 0.234 0.273 0.868
Ag 0.232 0.774 0.630
Ag 0.673 0.731 0.077
Ag 0.765 0.224 0.370
Ag 0.736 0.261 0.861
Ag 0.260 0.224 0.366
Bi 0.525 0.381 0.613
Bi 0.932 0.898 0.868
Bi 0.481 0.619 0.385
Bi 0.012 0.111 0.119
O 0.111 0.345 0.139
O 0.412 0.860 0.372
O 0.026 0.655 0.867
O 0.591 0.138 0.620
O 0.986 0.915 0.700
O 0.495 0.389 0.788
O 0.977 0.145 0.941
O 0.486 0.639 0.569
O 0.039 0.839 0.051
O 0.514 0.357 0.436
O 0.647 0.133 0.126
O 0.847 0.634 0.382
O 0.304 0.914 0.876
O 0.158 0.368 0.613
O 0.007 0.089 0.294
O 0.491 0.596 0.218



Entry 4:
A relaxed structure of Zn3P2O12, computed with PBE-GGA.

Values from the calculation:
Energy above the lowest structure with this stoichiometry = 0 meV per atom
Symmetry = No. 2

Cell lengths 5.373, 5.873, 7.742 Å; angles 98.43, 104.92, 91.50 degrees
Positions (direct):
Zn 0.000 0.000 0.000
Zn 0.131 0.725 0.396
Zn 0.869 0.275 0.604
P 0.722 0.766 0.631
P 0.278 0.234 0.369
O 0.833 0.578 0.744
O 0.167 0.422 0.256
O 0.431 0.779 0.603
O 0.569 0.221 0.397
O 0.854 0.009 0.758
O 0.146 0.991 0.242
O 0.802 0.757 0.454
O 0.198 0.243 0.546
O 0.594 0.752 0.045
O 0.406 0.248 0.955
O 0.369 0.739 0.952
O 0.631 0.261 0.048



Entry 5:
A relaxed structure of Nd4O3F7, computed with PBE-GGA.

Values from the calculation:
Symmetry = No. 3

Cell lengths 5.852, 5.516, 5.867 Å; angles 88.90, 90.00, 90.00 degrees
Positions (direct):
Nd 0.275 0.272 0.751
Nd 0.796 0.761 0.748
Nd 0.796 0.239 0.252
Nd 0.275 0.728 0.249
O 0.040 0.500 0.000
O 0.026 0.000 0.000
O 0.996 0.500 0.500
F 0.560 0.500 0.000
F 0.400 0.684 0.646
F 0.494 0.000 0.000
F 0.400 0.316 0.354
F 0.680 0.825 0.347
F 0.680 0.175 0.653
F 0.080 0.000 0.500



Entry 6:
A relaxed structure of CaCu10Te4As4O34, computed with PBE-GGA.

Values from the calculation:
Symmetry = No. 2

Cell lengths 8.985, 9.022, 10.302 Å; angles 110.58, 102.45, 86.83 degrees
Positions (direct):
Ca 0.000 0.500 0.500
Cu 0.984 0.167 0.748
Cu 0.016 0.833 0.252
Cu 0.509 0.698 0.828
Cu 0.491 0.302 0.172
Cu 0.613 0.604 0.500
Cu 0.387 0.396 0.500
Cu 0.629 0.311 0.835
Cu 0.371 0.689 0.165
Cu 0.376 0.052 0.748
Cu 0.624 0.948 0.252
Te 0.856 0.546 0.841
Te 0.144 0.454 0.159
Te 0.168 0.872 0.837
Te 0.832 0.128 0.163
As 0.723 0.924 0.762
As 0.277 0.076 0.238
As 0.275 0.430 0.786
As 0.725 0.570 0.214
O 0.176 0.067 0.794
O 0.824 0.933 0.206
O 0.908 0.998 0.817
O 0.092 0.002 0.183
O 0.705 0.810 0.863
O 0.295 0.190 0.137
O 0.387 0.877 0.825
O 0.613 0.123 0.175
O 0.835 0.321 0.829
O 0.165 0.679 0.171
O 0.607 0.089 0.811
O 0.393 0.911 0.189
O 0.639 0.526 0.851
O 0.361 0.474 0.149
O 0.472 0.594 0.603
O 0.528 0.406 0.397
O 0.342 0.622 0.887
O 0.658 0.378 0.113
O 0.112 0.398 0.835
O 0.888 0.602 0.165
O 0.234 0.404 0.608
O 0.766 0.596 0.392
O 0.096 0.733 0.659
O 0.904 0.267 0.341
O 0.657 0.824 0.586
O 0.343 0.176 0.414
O 0.411 0.295 0.817
O 0.589 0.705 0.183
O 0.321 0.967 0.556
O 0.679 0.033 0.444
O 0.930 0.103 0.554
O 0.070 0.897 0.446
O 0.834 0.515 0.652
O 0.166 0.485 0.348



Entry 7:
A relaxed structure of Na3BiF6, computed with PBE-GGA.

Values from the calculation:
Energy above the lowest structure with this stoichiometry = 66 meV per atom
Symmetry = No. 2

Cell lengths 6.242, 8.786, 8.603 Å; angles 79.18, 102.75, 131.92 degrees
Positions (direct):
Na 0.000 0.000 0.500
Na 0.500 0.500 0.000
Na 0.000 0.500 0.000
Bi 0.000 0.000 0.000
F 0.030 0.280 0.930
F 0.970 0.720 0.070
F 0.955 0.949 0.741
F 0.045 0.051 0.259
F 0.499 0.749 0.988
F 0.501 0.251 0.012



Entry 8:
A relaxed structure of Ca2Mg, computed with PBE-GGA.

Values from the calculation:
Symmetry = No. 8

Cell lengths 7.219, 7.219, 8.515 Å; angles 76.81, 76.81, 29.74 degrees
Positions (direct):
Ca 0.007 0.007 0.009
Ca 0.335 0.335 0.345
Ca 0.653 0.653 0.654
Ca 0.280 0.280 0.939
Mg 0.613 0.613 0.276
Mg 0.943 0.943 0.611



| no. | ΔH_f (0 K) (meV per atom) |
| --- | --- |
| 1 | -1081 |
| 2 | -2689 |
| 3 | -669 |
| 4 | -1490 |
| 5 | -4030 |
| 6 | -1174 |
| 7 | -2710 |
| 8 | 34 |